Cs5Tc6S8Br7: optimized geometry, GGA-PBE.

Values from the calculation:
* energy: -840.18 eV per cell
* E_form: -1.41 eV per atom
* energy with MP2020 corrections: -5.68 eV per atom
* volume: 5211 Å³/cell

```
data_Cs5Tc6S8Br7
_chemical_formula_sum 'Cs30 Tc36 S48 Br42'
_space_group_name_H-M_alt 'R -3 c'
_space_group_IT_number 167
_space_group_name_Hall '-R 3 2"c'
_cell_length_a 10.3001
_cell_length_b 10.3001
_cell_length_c 56.7195
_cell_angle_alpha 90.00
_cell_angle_beta 90.00
_cell_angle_gamma 120.00
loop_
_atom_site_label
_atom_site_type_symbol
_atom_site_fract_x
_atom_site_fract_y
_atom_site_fract_z
_atom_site_occupancy
Cs1 Cs 0.0000 0.0000 0.1703 1
Cs2 Cs 0.0000 0.3317 0.2500 1
Tc1 Tc 0.0172 0.1541 0.0187 1
S1 S 0.0000 0.0000 0.0519 1
S2 S 0.0305 0.2821 0.9827 1
Br1 Br 0.0000 0.0000 0.2500 1
Br2 Br 0.0032 0.2899 0.1224 1
```

=====

AgSbH2C2N2F6: optimized geometry, GGA-PBE.

Values from the calculation:
* energy: -151.13 eV per cell
* E_form: -1.28 eV per atom
* energy with MP2020 corrections: -5.60 eV per atom
* volume: 467 Å³/cell

```
data_AgSbH2C2N2F6
_chemical_formula_sum 'Ag2 Sb2 H4 C4 N4 F12'
_space_group_name_H-M_alt 'P n n m'
_space_group_IT_number 58
_space_group_name_Hall '-P 2 2n'
_cell_length_a 5.320
_cell_length_b 12.527
_cell_length_c 7.011
_cell_angle_alpha 90.00
_cell_angle_beta 90.00
_cell_angle_gamma 90.00
loop_
_atom_site_label
_atom_site_type_symbol
_atom_site_fract_x
_atom_site_fract_y
_atom_site_fract_z
_atom_site_occupancy
Ag1 Ag 0.000 0.000 0.000 1
Sb1 Sb 0.000 0.500 0.000 1
H1 H 0.022 0.221 0.500 1
C1 C 0.146 0.289 0.500 1
N1 N 0.214 0.860 0.000 1
F1 F 0.201 0.569 0.192 1
F2 F 0.224 0.379 0.000 1
```

=====

TlBi3: optimized geometry, GGA-PBE.

Values from the calculation:
* energy: -13.71 eV per cell
* E_form: 0.08 eV per atom
* volume: 128 Å³/cell

```
data_TlBi3
_chemical_formula_sum 'Tl1 Bi3'
_space_group_name_H-M_alt 'P m -3 m'
_space_group_IT_number 221
_space_group_name_Hall '-P 4 2 3'
_cell_length_a 5.035
_cell_length_b 5.035
_cell_length_c 5.035
_cell_angle_alpha 90.00
_cell_angle_beta 90.00
_cell_angle_gamma 90.00
loop_
_atom_site_label
_atom_site_type_symbol
_atom_site_fract_x
_atom_site_fract_y
_atom_site_fract_z
_atom_site_occupancy
Tl1 Tl 0.000 0.000 0.000 1
Bi1 Bi 0.000 0.500 0.500 1
```

=====

Li2MgSb: optimized geometry, GGA-PBE.

Values from the calculation:
* energy: -43.32 eV per cell
* E_form: -0.37 eV per atom
* energy with MP2020 corrections: -2.76 eV per atom
* volume: 335 Å³/cell

```
data_Li2MgSb
_chemical_formula_sum 'Li8 Mg4 Sb4'
_space_group_name_H-M_alt 'F -4 3 m'
_space_group_IT_number 216
_space_group_name_Hall 'F -4 2 3'
_cell_length_a 6.946
_cell_length_b 6.946
_cell_length_c 6.946
_cell_angle_alpha 90.00
_cell_angle_beta 90.00
_cell_angle_gamma 90.00
loop_
_atom_site_label
_atom_site_type_symbol
_atom_site_fract_x
_atom_site_fract_y
_atom_site_fract_z
_atom_site_occupancy
Li1 Li 0.000 0.000 0.000 1
Li2 Li 0.250 0.250 0.250 1
Mg1 Mg 0.250 0.250 0.750 1
Sb1 Sb 0.000 0.000 0.500 1
```